Na3NbGaSi2PO12 after structural relaxation, computed with PBE-GGA.

abc: 15.5768 26.8818 8.9632
angles: 90.00 125.27 90.00
Sites, in units of the cell vectors:
Nb 0.1072 0.9176 0.5679
Nb 0.6072 0.4176 0.5679
Nb 0.6099 0.2526 0.0715
Nb 0.6052 0.9174 0.0688
Nb 0.1052 0.5826 0.5688
Nb 0.1099 0.7526 0.0715
Nb 0.1072 0.0824 0.0679
Nb 0.1099 0.2474 0.5715
Nb 0.6099 0.7474 0.5715
Nb 0.6052 0.0826 0.5688
Nb 0.6072 0.5824 0.0679
Nb 0.1052 0.4174 0.0688
Na 0.9957 0.2059 0.7489
Na 0.2576 0.2539 0.0096
Na 0.1972 0.3100 0.2809
Na 0.9982 0.1264 0.2586
Na 0.7516 0.4174 0.0203
Na 0.2503 0.4133 0.5189
Na 0.4957 0.2941 0.2489
Na 0.1972 0.6900 0.7809
Na 0.3145 0.5196 0.7228
Na 0.9957 0.7941 0.2489
Na 0.4982 0.3736 0.7586
Na 0.6972 0.8100 0.2809
Na 0.4955 0.0391 0.7527
Na 0.7576 0.7539 0.0096
Na 0.2516 0.9174 0.0203
Na 0.4982 0.6264 0.2586
Na 0.8145 0.9804 0.2228
Na 0.7503 0.9133 0.5189
Na 0.8137 0.6463 0.2132
Na 0.2503 0.5867 0.0189
Na 0.8137 0.3537 0.7132
Na 0.2576 0.7461 0.5096
Na 0.3137 0.8537 0.7132
Na 0.2516 0.0826 0.5203
Na 0.9955 0.4609 0.2527
Na 0.4957 0.7059 0.7489
Na 0.3137 0.1463 0.2132
Na 0.4955 0.9609 0.2527
Na 0.7516 0.5826 0.5203
Na 0.8145 0.0196 0.7228
Na 0.7503 0.0867 0.0189
Na 0.7576 0.2461 0.5096
Na 0.9955 0.5391 0.7527
Na 0.3145 0.4804 0.2228
Na 0.9982 0.8736 0.7586
Na 0.6972 0.1900 0.7809
Si 0.1459 0.4620 0.7393
Si 0.3541 0.9667 0.7494
Si 0.1453 0.7976 0.7382
Si 0.3555 0.3673 0.2544
Si 0.3542 0.7010 0.2491
Si 0.6453 0.2977 0.7382
Si 0.6453 0.7024 0.2382
Si 0.3541 0.0333 0.2494
Si 0.3555 0.6327 0.7544
Si 0.3542 0.2990 0.7491
Si 0.6459 0.3717 0.2384
Si 0.8555 0.1327 0.7544
Si 0.1459 0.1283 0.7384
Si 0.8541 0.4667 0.7494
Si 0.1453 0.2024 0.2382
Si 0.1459 0.5380 0.2393
Si 0.8542 0.2010 0.2491
Si 0.8555 0.8673 0.2544
Si 0.6459 0.9620 0.7393
Si 0.6459 0.6283 0.7384
Si 0.8542 0.7990 0.7491
Si 0.6459 0.0380 0.2393
Si 0.1459 0.8717 0.2384
Si 0.8541 0.5333 0.2494
O 0.6439 0.0507 0.4225
O 0.2567 0.9390 0.7427
O 0.8599 0.5503 0.0852
O 0.3510 0.9735 0.2589
O 0.7492 0.2768 0.7567
O 0.8510 0.5265 0.7589
O 0.4209 0.5469 0.2461
O 0.3599 0.9497 0.5852
O 0.4380 0.8544 0.5819
O 0.7535 0.7740 0.7380
O 0.7567 0.4390 0.7427
O 0.7533 0.9456 0.7629
O 0.9331 0.9811 0.0647
O 0.4625 0.7230 0.4363
O 0.5580 0.4780 0.4121
O 0.2555 0.6081 0.7501
O 0.1505 0.5253 0.7467
O 0.4624 0.0579 0.4406
O 0.2567 0.0610 0.2427
O 0.0589 0.6900 0.9094
O 0.9331 0.0189 0.5647
O 0.2533 0.4456 0.7629
O 0.9380 0.3544 0.5819
O 0.0819 0.7137 0.2475
O 0.9219 0.6183 0.7521
O 0.9625 0.7770 0.9363
O 0.2535 0.2740 0.7380
O 0.6505 0.0253 0.7467
O 0.1505 0.4747 0.2467
O 0.0589 0.3100 0.4094
O 0.8475 0.1932 0.7590
O 0.8475 0.8068 0.2590
O 0.4209 0.4531 0.7461
O 0.8484 0.8595 0.7561
O 0.3484 0.6405 0.2561
O 0.4312 0.8159 0.0612
O 0.6482 0.6912 0.7445
O 0.9380 0.6456 0.0819
O 0.9625 0.2230 0.4363
O 0.5833 0.4549 0.7477
O 0.4220 0.2135 0.2525
O 0.8515 0.2141 0.0694
O 0.1482 0.1912 0.7445
O 0.9220 0.2865 0.7525
O 0.4624 0.9421 0.9406
O 0.7533 0.0544 0.2629
O 0.5377 0.6095 0.5543
O 0.1439 0.5507 0.4225
O 0.1482 0.8088 0.2445
O 0.3515 0.7141 0.0694
O 0.7492 0.7232 0.2567
O 0.6495 0.3595 0.7434
O 0.2506 0.8918 0.2654
O 0.4219 0.8817 0.2521
O 0.2555 0.3919 0.2501
O 0.8599 0.4497 0.5852
O 0.8515 0.7859 0.5694
O 0.6482 0.3088 0.2445
O 0.0818 0.3772 0.2469
O 0.4380 0.1456 0.0819
O 0.1404 0.8832 0.4187
O 0.4220 0.7865 0.7525
O 0.3484 0.3595 0.7561
O 0.5589 0.1900 0.9094
O 0.7567 0.5610 0.2427
O 0.0409 0.7748 0.5559
O 0.6404 0.3832 0.4187
O 0.0833 0.0451 0.2477
O 0.2506 0.1082 0.7654
O 0.5818 0.1228 0.7469
O 0.3515 0.2859 0.5694
O 0.6495 0.6405 0.2434
O 0.4219 0.1183 0.7521
O 0.4625 0.2770 0.9363
O 0.3542 0.6161 0.5822
O 0.9209 0.0469 0.2461
O 0.2492 0.2232 0.2567
O 0.9624 0.4421 0.9406
O 0.2492 0.7768 0.7567
O 0.4331 0.4811 0.0647
O 0.6439 0.9493 0.9225
O 0.1402 0.7837 0.9144
O 0.4619 0.3909 0.4431
O 0.5667 0.8523 0.9285
O 0.5580 0.5220 0.9121
O 0.9220 0.7135 0.2525
O 0.5400 0.0572 0.0552
O 0.1404 0.1168 0.9187
O 0.9312 0.3159 0.0612
O 0.5819 0.2137 0.2475
O 0.3475 0.6932 0.7590
O 0.8484 0.1405 0.2561
O 0.4619 0.6091 0.9431
O 0.7506 0.3918 0.2654
O 0.7555 0.8919 0.2501
O 0.2533 0.5544 0.2629
O 0.5819 0.7863 0.7475
O 0.0818 0.6228 0.7469
O 0.0400 0.4428 0.5552
O 0.4312 0.1841 0.5612
O 0.9619 0.1091 0.9431
O 0.0667 0.6477 0.4285
O 0.7535 0.2260 0.2380
O 0.8542 0.1161 0.5822
O 0.5818 0.8772 0.2469
O 0.0833 0.9549 0.7477
O 0.1495 0.1405 0.2434
O 0.5409 0.2748 0.5559
O 0.1439 0.4493 0.9225
O 0.1495 0.8595 0.7434
O 0.0377 0.1095 0.5543
O 0.0377 0.8905 0.0543
O 0.0667 0.3523 0.9285
O 0.3510 0.0265 0.7589
O 0.6402 0.7163 0.4144
O 0.5833 0.5451 0.2477
O 0.5377 0.3905 0.0543
O 0.7555 0.1081 0.7501
O 0.1402 0.2163 0.4144
O 0.8542 0.8839 0.0822
O 0.9209 0.9531 0.7461
O 0.6402 0.2837 0.9144
O 0.4331 0.5189 0.5647
O 0.5667 0.1477 0.4285
O 0.9624 0.5579 0.4406
O 0.0580 0.0220 0.9121
O 0.9619 0.8909 0.4431
O 0.6404 0.6168 0.9187
O 0.3542 0.3839 0.0822
O 0.6505 0.9747 0.2467
O 0.3475 0.3068 0.2590
O 0.5409 0.7252 0.0559
O 0.5589 0.8100 0.4094
O 0.0580 0.9780 0.4121
O 0.0400 0.5572 0.0552
O 0.8510 0.4735 0.2589
O 0.3599 0.0503 0.0852
O 0.9312 0.6841 0.5612
O 0.9219 0.3817 0.2521
O 0.0819 0.2863 0.7475
O 0.5400 0.9428 0.5552
O 0.0409 0.2252 0.0559
O 0.7506 0.6082 0.7654
O 0.2535 0.7260 0.2380
Ga 0.8979 0.7507 0.4435
Ga 0.3927 0.9185 0.4354
Ga 0.3927 0.0815 0.9354
Ga 0.8927 0.5815 0.9354
Ga 0.8930 0.9124 0.9383
Ga 0.8979 0.2493 0.9435
Ga 0.3979 0.7493 0.9435
Ga 0.8927 0.4185 0.4354
Ga 0.3930 0.4124 0.9383
Ga 0.8930 0.0876 0.4383
Ga 0.3930 0.5876 0.4383
Ga 0.3979 0.2507 0.4435
P 0.5008 0.1794 0.2466
P 0.4935 0.8452 0.2421
P 0.0008 0.3206 0.7466
P 0.4972 0.5124 0.2382
P 0.5008 0.8206 0.7466
P 0.4935 0.1548 0.7421
P 0.9935 0.6548 0.7421
P 0.4972 0.4876 0.7382
P 0.9972 0.9876 0.7382
P 0.9972 0.0124 0.2382
P 0.0008 0.6794 0.2466
P 0.9935 0.3452 0.2421

* energy: -6.98 eV/atom
* volume: 12.77 Å³/atom
* E_form: -63.6 kcal/mol of atoms
* total magnetic moment: 0.00 μB per cell

---

Na10Nb6Ga2Si11SO48 after structural relaxation, computed with PBE-GGA.

abc: 9.0211 15.5224 22.5600
angles: 90.19 90.11 90.04
Sites, in units of the cell vectors:
Na 0.0000 0.0000 0.0000
Na 0.0005 0.3290 0.6627
Na 0.0057 0.9685 0.6631
Na 0.0133 0.2984 0.3333
Na 0.1301 0.1335 0.4986
Na 0.1328 0.8012 0.8352
Na 0.1409 0.4692 0.1638
Na 0.1445 0.4962 0.4963
Na 0.1481 0.8309 0.1637
Na 0.1936 0.4787 0.8356
Na 0.3124 0.6521 0.9231
Na 0.3176 0.6561 0.4124
Na 0.3239 0.3073 0.2532
Na 0.3266 0.3098 0.7526
Na 0.3288 0.9843 0.0816
Na 0.3346 0.9796 0.5818
Na 0.4516 0.4797 0.3332
Na 0.4996 0.4989 0.0002
Na 0.6325 0.2980 0.8346
Na 0.6401 0.9698 0.1641
Na 0.6433 0.6340 0.4972
Na 0.6458 0.6683 0.8338
Na 0.6476 0.3294 0.1634
Na 0.6942 0.9805 0.8343
Na 0.8158 0.4803 0.5819
Na 0.8174 0.1456 0.4190
Na 0.8192 0.8116 0.2517
Na 0.8198 0.1526 0.9208
Na 0.8203 0.8142 0.7489
Na 0.8287 0.4840 0.0815
Nb 0.3199 0.9776 0.4338
Nb 0.3218 0.9858 0.2286
Nb 0.3232 0.6534 0.2687
Nb 0.3238 0.3201 0.1028
Nb 0.3237 0.6493 0.7677
Nb 0.3239 0.6526 0.5601
Nb 0.3275 0.3208 0.6044
Nb 0.3292 0.9778 0.9358
Nb 0.3320 0.9852 0.7272
Nb 0.8187 0.4833 0.7269
Nb 0.8199 0.4840 0.2281
Nb 0.8196 0.8169 0.6027
Nb 0.8228 0.1467 0.2700
Nb 0.8243 0.4783 0.4356
Nb 0.8244 0.8208 0.1026
Nb 0.8257 0.1491 0.7681
Nb 0.8260 0.8191 0.3933
Nb 0.8320 0.4757 0.9361
Ga 0.3047 0.6502 0.0643
Ga 0.3152 0.3180 0.3931
Ga 0.3302 0.3185 0.8948
Ga 0.8048 0.1506 0.0642
Ga 0.8316 0.1481 0.5647
Ga 0.8366 0.8234 0.8953
Si 0.0322 0.3112 0.4972
Si 0.0331 0.6488 0.1634
Si 0.0359 0.9838 0.8318
Si 0.1144 0.1487 0.6626
Si 0.1149 0.4837 0.3317
Si 0.1165 0.8104 0.9962
Si 0.1765 0.5061 0.6640
Si 0.1759 0.8368 0.3297
Si 0.1770 0.7955 0.6652
Si 0.1815 0.1307 0.3340
Si 0.1832 0.4636 0.9959
Si 0.4628 0.1314 0.8336
Si 0.4681 0.7906 0.1614
Si 0.4691 0.4576 0.4949
Si 0.4694 0.5115 0.1615
Si 0.4752 0.8364 0.8319
Si 0.5344 0.1490 0.1637
Si 0.5335 0.4821 0.8337
Si 0.5352 0.8195 0.4973
Si 0.6116 0.9827 0.3319
Si 0.6146 0.3099 0.9960
Si 0.6145 0.6499 0.6643
Si 0.6701 0.3341 0.3317
Si 0.6787 0.0086 0.6612
Si 0.6801 0.2895 0.6622
Si 0.6798 0.6296 0.3328
Si 0.6811 0.9644 0.9961
Si 0.9649 0.9652 0.4998
Si 0.9656 0.6294 0.8330
Si 0.9675 0.2890 0.1630
Si 0.9697 0.6732 0.4977
Si 0.9714 0.0112 0.1605
Si 0.9771 0.3347 0.8306
S 0.1798 0.1735 0.9967
S 0.4717 0.1731 0.4975
S 0.6787 0.6724 0.9965
O 0.0008 0.1384 0.3250
O 0.0039 0.1674 0.7204
O 0.0040 0.8294 0.0545
O 0.0055 0.4676 0.2739
O 0.0081 0.4977 0.3903
O 0.0154 0.7999 0.9370
O 0.0180 0.1269 0.6046
O 0.0178 0.1605 0.0026
O 0.1332 0.6235 0.1076
O 0.1365 0.2969 0.4391
O 0.1404 0.9977 0.8909
O 0.1411 0.6679 0.2216
O 0.1420 0.9664 0.7738
O 0.1434 0.3308 0.5556
O 0.1473 0.6362 0.8255
O 0.1483 0.3058 0.1572
O 0.1478 0.9895 0.1701
O 0.1491 0.6578 0.5037
O 0.1487 0.9751 0.4922
O 0.1531 0.3308 0.8392
O 0.2084 0.2248 0.9436
O 0.2092 0.8953 0.2713
O 0.2088 0.9050 0.9926
O 0.2098 0.4012 0.0557
O 0.2105 0.7347 0.7238
O 0.2106 0.0685 0.3917
O 0.2107 0.5635 0.6054
O 0.2149 0.3969 0.3352
O 0.2155 0.0627 0.6730
O 0.2158 0.2362 0.6572
O 0.2225 0.5677 0.3259
O 0.2255 0.7293 0.0040
O 0.2465 0.2134 0.0510
O 0.2493 0.0846 0.9934
O 0.2502 0.8907 0.6707
O 0.2509 0.4093 0.6590
O 0.2522 0.2260 0.3380
O 0.2522 0.5492 0.7233
O 0.2535 0.8833 0.3879
O 0.2537 0.0795 0.2762
O 0.2540 0.7459 0.6086
O 0.2553 0.4176 0.9382
O 0.2562 0.7429 0.3260
O 0.2660 0.5559 0.0035
O 0.3818 0.7489 0.1065
O 0.3868 0.4179 0.4376
O 0.3871 0.8810 0.8886
O 0.3884 0.5485 0.2219
O 0.3913 0.7427 0.8260
O 0.3929 0.0810 0.7753
O 0.3933 0.0867 0.4936
O 0.3932 0.4117 0.1575
O 0.3949 0.2266 0.8383
O 0.3945 0.5545 0.5046
O 0.3970 0.8882 0.1713
O 0.3984 0.2134 0.5511
O 0.4293 0.3979 0.8352
O 0.4289 0.9039 0.4928
O 0.4299 0.0631 0.1726
O 0.4311 0.5694 0.8255
O 0.4317 0.2359 0.1568
O 0.4346 0.7307 0.5045
O 0.4360 0.3987 0.5543
O 0.4366 0.0629 0.8886
O 0.4380 0.7323 0.2218
O 0.4414 0.2252 0.4438
O 0.4415 0.8997 0.7758
O 0.4415 0.5647 0.1020
O 0.4932 0.3314 0.3392
O 0.4977 0.9715 0.9920
O 0.4994 0.3019 0.6565
O 0.4990 0.6318 0.3253
O 0.5001 0.9940 0.6718
O 0.5010 0.9964 0.3888
O 0.5042 0.3299 0.0548
O 0.5077 0.6627 0.7233
O 0.5091 0.6351 0.6058
O 0.5088 0.9687 0.2722
O 0.5135 0.3015 0.9371
O 0.5177 0.6602 0.0023
O 0.6302 0.1622 0.5042
O 0.6337 0.1236 0.1076
O 0.6405 0.5030 0.8909
O 0.6408 0.8305 0.5560
O 0.6418 0.1682 0.2218
O 0.6423 0.7980 0.4412
O 0.6453 0.1353 0.8254
O 0.6450 0.4679 0.7764
O 0.6469 0.4895 0.1705
O 0.6489 0.4739 0.4926
O 0.6492 0.8053 0.1570
O 0.6519 0.8252 0.8393
O 0.7045 0.3968 0.2737
O 0.7066 0.5668 0.3909
O 0.7074 0.7224 0.9421
O 0.7076 0.0675 0.6051
O 0.7076 0.2344 0.7242
O 0.7090 0.4048 0.9917
O 0.7100 0.9012 0.0556
O 0.7158 0.0682 0.3249
O 0.7161 0.5634 0.6714
O 0.7157 0.8978 0.3385
O 0.7172 0.7354 0.6594
O 0.7257 0.2297 0.0040
O 0.7463 0.7140 0.0500
O 0.7490 0.5838 0.9937
O 0.7527 0.5794 0.2753
O 0.7534 0.9180 0.9382
O 0.7553 0.7233 0.3373
O 0.7565 0.0490 0.7227
O 0.7564 0.3860 0.6731
O 0.7572 0.3842 0.3875
O 0.7599 0.9126 0.6586
O 0.7615 0.2443 0.3263
O 0.7658 0.0561 0.0036
O 0.7671 0.2500 0.6069
O 0.8816 0.2489 0.1072
O 0.8849 0.2444 0.8260
O 0.8870 0.0505 0.2194
O 0.8882 0.3825 0.8874
O 0.8885 0.7170 0.5552
O 0.8892 0.7234 0.8382
O 0.8897 0.5810 0.7752
O 0.8930 0.5769 0.4925
O 0.8933 0.9117 0.1574
O 0.8935 0.0602 0.5033
O 0.8948 0.9131 0.4423
O 0.8960 0.3877 0.1721
O 0.9257 0.0674 0.8254
O 0.9284 0.2274 0.5046
O 0.9300 0.5626 0.1732
O 0.9304 0.8979 0.8351
O 0.9319 0.7362 0.1568
O 0.9367 0.4032 0.4925
O 0.9370 0.7324 0.4401
O 0.9395 0.2342 0.2244
O 0.9388 0.5629 0.8887
O 0.9388 0.9016 0.5576
O 0.9424 0.0644 0.1011
O 0.9428 0.3980 0.7734
O 0.9984 0.8061 0.6595
O 0.9980 0.8288 0.3368
O 0.9988 0.4715 0.9919
O 0.9987 0.4907 0.6702

* space-group type: No. 1
* energy: -7.31 eV/atom
* volume: 13.50 Å³/atom
* E_form: -65.6 kcal/mol of atoms
* total magnetic moment: 0.00 μB per cell